The following is a DFT calculation (PBE) of a relaxed structure of Na2TaGaSiP2O12.

Geometry as extended XYZ:
```
114
Lattice="7.592 -4.410 0.000 7.592 4.410 0.000 -0.190 0.000 22.404" Properties=species:S:1:pos:R:3 pbc="T T T"
Na 7.498 4.402 11.202
Na 7.290 1.548 1.957
Na 7.709 1.670 9.383
Na 4.927 0.006 14.935
Na 5.022 -0.006 3.733
Na 10.250 2.750 5.688
Na 7.195 -1.548 13.159
Na 9.961 0.066 18.667
Na 10.056 -0.066 7.465
Na 7.614 -1.670 20.585
Na 10.155 -2.750 16.889
Na 7.592 -4.402 0.000
Ta 7.423 4.374 14.565
Ta 4.992 0.013 7.101
Ta 4.898 -0.013 18.303
Ta 10.021 0.046 10.828
Ta 9.926 -0.046 22.030
Ta 7.518 -4.374 3.363
Ga -0.140 0.007 19.171
Ga -0.045 -0.007 7.969
Ga 4.886 0.048 11.718
Ga 4.981 -0.048 0.516
Ga 9.886 0.029 15.447
Ga 9.981 -0.029 4.245
Si 2.655 1.201 20.663
Si 7.543 1.836 5.710
Si 2.750 -1.201 9.461
Si 7.734 1.259 13.169
Si 7.829 -1.259 1.967
Si 7.448 -1.836 16.912
P 4.960 2.559 9.454
P 9.591 3.071 16.931
P 7.032 1.352 20.674
P 10.135 2.549 1.999
P 4.865 -2.559 20.656
P 7.127 -1.352 9.472
P 12.135 1.298 13.218
P 12.908 1.228 5.734
P 12.230 -1.298 2.016
P 10.041 -2.549 13.201
P 9.686 -3.071 5.729
P 12.813 -1.228 16.936
O 1.137 0.656 20.506
O 6.185 3.452 9.258
O 6.138 3.382 15.669
O 1.468 0.611 4.474
O 3.582 1.018 19.295
O 4.735 1.637 8.189
O 4.881 1.622 1.833
O 3.646 0.939 13.029
O 1.232 -0.656 9.304
O 5.070 1.607 17.052
O 5.247 1.679 10.666
O 7.199 2.844 20.442
O 3.483 0.587 5.842
O 3.355 0.592 21.952
O 7.292 2.788 4.368
O 1.373 -0.611 15.676
O 7.630 2.896 13.313
O 8.799 3.405 2.116
O 7.788 2.753 7.020
O 8.741 3.335 18.156
O 3.389 -0.587 17.044
O 3.450 -0.592 10.750
O 6.229 1.072 21.928
O 6.187 0.906 5.849
O 3.741 -0.939 1.827
O 6.292 0.553 12.956
O 3.677 -1.018 8.093
O 6.409 0.594 19.427
O 9.843 1.637 0.755
O 8.706 1.011 11.829
O 9.816 1.588 16.735
O 8.887 0.942 5.553
O 6.387 -0.553 1.754
O 10.314 1.725 3.269
O 8.439 0.632 20.777
O 6.504 -0.594 8.225
O 8.402 0.531 14.428
O 4.640 -1.637 19.391
O 10.187 1.525 9.582
O 4.786 -1.622 13.035
O 6.092 -0.906 17.051
O 5.165 -1.607 5.851
O 5.152 -1.679 21.868
O 6.324 -1.072 10.726
O 8.497 -0.531 3.226
O 11.166 1.004 20.784
O 11.288 1.009 14.441
O 8.534 -0.632 9.575
O 11.510 0.670 5.527
O 8.801 -1.011 0.627
O 8.792 -0.942 16.755
O 11.528 0.612 11.937
O 6.233 -3.382 4.467
O 7.197 -2.788 15.570
O 6.090 -3.452 20.460
O 7.294 -2.844 9.240
O 13.563 0.636 6.971
O 7.693 -2.753 18.222
O 13.571 0.631 13.314
O 9.748 -1.637 11.957
O 11.623 -0.612 0.735
O 9.911 -1.588 5.533
O 11.415 -0.670 16.729
O 7.725 -2.896 2.111
O 10.092 -1.525 20.784
O 11.261 -1.004 9.583
O 11.383 -1.009 3.239
O 10.219 -1.725 14.471
O 8.836 -3.335 6.955
O 8.704 -3.405 13.318
O 13.468 -0.636 18.173
O 13.666 -0.631 2.112
```

## Properties
As for the total magnetization: 0.0 μB/cell. Its crystal system is monoclinic. For the volume, the calculation gives 13.2 Å³/atom. The theoretical density is 3.8 Mg/m³. For the final energy, the calculation gives -7.277 eV/atom. The value obtained for the calculated formation energy is -2.81 eV per atom.